1.
The following is a GGA+U calculation of an optimized crystal structure of Mo8P6O49, from the Materials Project.

The structure in POSCAR format:
```
Mo8P6O49
1.0
8.390 0.000 0.000
3.918 9.926 0.000
1.535 -0.361 13.005
Mo P O
8 6 49
direct
0.109 0.130 0.261
0.196 0.814 0.486
0.209 0.405 0.826
0.345 0.626 0.041
0.655 0.374 0.959
0.791 0.595 0.174
0.804 0.186 0.514
0.891 0.870 0.739
0.044 0.297 0.043
0.297 0.655 0.697
0.380 0.791 0.250
0.620 0.209 0.750
0.703 0.345 0.303
0.956 0.703 0.957
0.006 0.104 0.381
0.028 0.841 0.414
0.029 0.571 0.889
0.083 0.359 0.756
0.086 0.044 0.810
0.106 0.721 0.005
0.132 0.755 0.764
0.139 0.173 0.104
0.176 0.316 0.956
0.203 0.235 0.297
0.239 0.956 0.505
0.241 0.011 0.781
0.254 0.663 0.581
0.256 0.404 0.470
0.278 0.517 0.145
0.284 0.512 0.729
0.290 0.721 0.190
0.295 0.947 0.240
0.329 0.287 0.494
0.378 0.749 0.364
0.396 0.492 0.936
0.415 0.755 0.004
0.425 0.252 0.792
0.462 0.666 0.711
0.500 0.000 0.000
0.538 0.334 0.289
0.575 0.748 0.208
0.585 0.245 0.996
0.604 0.508 0.064
0.622 0.251 0.636
0.671 0.713 0.506
0.705 0.053 0.760
0.710 0.279 0.810
0.716 0.488 0.271
0.722 0.483 0.855
0.744 0.596 0.530
0.746 0.337 0.419
0.759 0.989 0.219
0.761 0.044 0.495
0.797 0.765 0.703
0.824 0.684 0.044
0.861 0.827 0.896
0.868 0.245 0.236
0.894 0.279 0.995
0.914 0.956 0.190
0.917 0.641 0.244
0.971 0.429 0.111
0.972 0.159 0.586
0.994 0.896 0.619
```

Calculated values
theoretical density: 2.664 g/cm3
relative energy among the computed polymorphs: 0.005 eV/atom
symmetry: P-1, No. 2
spin magnetization: 0.190 μB per atom
energy relative to the elements: -1.378 eV per atom



2.
The following is a GGA+U calculation of an optimized crystal structure of Mo2P3O13, from the Materials Project.

The structure in POSCAR format:
```
Mo2P3O13
1.0
5.414 -7.400 0.000
5.414 7.400 0.000
-5.302 0.000 7.317
Mo P O
4 6 26
direct
0.090 0.910 0.500
0.420 0.602 0.163
0.602 0.420 0.663
0.910 0.090 0.000
0.095 0.517 0.267
0.413 0.991 0.398
0.517 0.095 0.767
0.744 0.764 0.083
0.764 0.744 0.583
0.991 0.413 0.898
0.002 0.328 0.230
0.083 0.103 0.565
0.099 0.655 0.420
0.103 0.083 0.065
0.189 0.515 0.950
0.226 0.947 0.364
0.283 0.563 0.288
0.328 0.002 0.730
0.406 0.423 0.598
0.423 0.406 0.098
0.425 0.865 0.250
0.515 0.189 0.450
0.518 0.989 0.582
0.554 0.694 0.060
0.563 0.283 0.788
0.632 0.729 0.406
0.655 0.099 0.920
0.694 0.554 0.560
0.729 0.632 0.906
0.760 0.863 0.747
0.806 0.948 0.105
0.863 0.760 0.247
0.865 0.425 0.750
0.947 0.226 0.864
0.948 0.806 0.605
0.989 0.518 0.082
```

Calculated values
theoretical density: 2.792 g/cm3
relative energy among the computed polymorphs: 0.009 eV/atom
symmetry: Cc, No. 9
spin magnetization: 0.056 μB per atom
energy relative to the elements: -2.362 eV per atom



3.
The following is a GGA+U calculation of an optimized crystal structure of MoP2O7, from the Materials Project.

The structure in POSCAR format:
```
MoP2O7
1.0
7.035 0.000 0.000
0.000 8.937 0.000
-3.185 0.000 9.185
Mo P O
4 8 28
direct
0.201 0.077 0.303
0.201 0.423 0.803
0.799 0.577 0.197
0.799 0.923 0.697
0.026 0.713 0.968
0.026 0.787 0.468
0.404 0.746 0.248
0.404 0.754 0.748
0.596 0.246 0.252
0.596 0.254 0.752
0.974 0.213 0.532
0.974 0.287 0.032
0.018 0.131 0.109
0.018 0.369 0.609
0.023 0.590 0.860
0.023 0.910 0.360
0.135 0.192 0.456
0.135 0.308 0.956
0.239 0.724 0.084
0.239 0.776 0.584
0.366 0.640 0.353
0.366 0.860 0.853
0.380 0.582 0.782
0.380 0.918 0.282
0.396 0.239 0.284
0.396 0.261 0.784
0.604 0.739 0.216
0.604 0.761 0.716
0.620 0.082 0.718
0.620 0.418 0.218
0.634 0.140 0.147
0.634 0.360 0.647
0.761 0.224 0.416
0.761 0.276 0.916
0.865 0.692 0.044
0.865 0.808 0.544
0.977 0.090 0.640
0.977 0.410 0.140
0.982 0.631 0.391
0.982 0.869 0.891
```

Calculated values
theoretical density: 3.104 g/cm3
relative energy among the computed polymorphs: 0.179 eV/atom
symmetry: P2_1/c, No. 14
spin magnetization: 0.200 μB per atom
energy relative to the elements: -2.328 eV per atom



4.
The following is a GGA+U calculation of an optimized crystal structure of Mo2P3O14, from the Materials Project.

The structure in POSCAR format:
```
Mo2P3O14
1.0
6.508 0.000 0.000
-0.004 6.514 0.000
-2.572 -2.560 8.182
Mo P O
2 3 14
direct
0.000 0.000 0.000
0.432 0.436 0.827
0.242 0.099 0.434
0.470 0.970 0.922
0.967 0.469 0.920
0.008 0.323 0.029
0.010 0.700 0.031
0.115 0.424 0.805
0.118 0.113 0.270
0.171 0.904 0.490
0.321 0.312 0.565
0.325 0.011 0.033
0.397 0.909 0.448
0.423 0.731 0.807
0.428 0.120 0.810
0.512 0.509 0.035
0.703 0.009 0.033
0.728 0.426 0.804
0.923 0.917 0.792
```

Calculated values
theoretical density: 2.436 g/cm3
symmetry: P1, No. 1
spin magnetization: 0.053 μB per atom
energy relative to the elements: -1.998 eV per atom



5.
The following is a GGA+U calculation of an optimized crystal structure of Mo3P3O16, from the Materials Project.

The structure in POSCAR format:
```
Mo3P3O16
1.0
6.493 0.000 0.000
1.117 7.811 0.000
2.833 1.725 12.401
Mo P O
6 6 32
direct
0.031 0.199 0.153
0.207 0.215 0.529
0.400 0.753 0.161
0.600 0.247 0.839
0.793 0.785 0.471
0.969 0.801 0.847
0.054 0.487 0.316
0.310 0.850 0.423
0.442 0.844 0.892
0.558 0.156 0.108
0.690 0.150 0.577
0.946 0.513 0.684
0.039 0.645 0.734
0.064 0.287 0.021
0.104 0.770 0.480
0.121 0.979 0.156
0.137 0.405 0.620
0.165 0.611 0.218
0.180 0.049 0.632
0.207 0.400 0.388
0.278 0.817 0.826
0.282 0.048 0.417
0.338 0.238 0.160
0.369 0.758 0.009
0.378 0.807 0.307
0.393 0.402 0.841
0.440 0.041 0.892
0.486 0.766 0.486
0.514 0.234 0.514
0.560 0.959 0.108
0.607 0.598 0.159
0.622 0.193 0.693
0.631 0.242 0.991
0.662 0.762 0.840
0.718 0.952 0.583
0.722 0.183 0.174
0.793 0.600 0.612
0.820 0.951 0.368
0.835 0.389 0.782
0.863 0.595 0.380
0.879 0.021 0.844
0.896 0.230 0.520
0.936 0.713 0.979
0.961 0.355 0.266
```

Calculated values
theoretical density: 3.362 g/cm3
symmetry: P-1, No. 2
spin magnetization: 0.045 μB per atom
energy relative to the elements: -2.276 eV per atom



6.
The following is a GGA+U calculation of an optimized crystal structure of Mo3P3O13, from the Materials Project.

The structure in POSCAR format:
```
Mo3P3O13
1.0
7.679 0.000 0.000
0.000 6.594 0.000
-1.712 0.000 10.856
Mo P O
6 6 26
direct
0.000 0.000 0.000
0.000 0.500 0.000
0.230 0.250 0.550
0.370 0.750 0.203
0.630 0.250 0.797
0.770 0.750 0.450
0.211 0.750 0.479
0.256 0.250 0.231
0.308 0.250 0.881
0.692 0.750 0.119
0.744 0.750 0.769
0.789 0.250 0.521
0.022 0.750 0.406
0.087 0.250 0.123
0.124 0.750 0.087
0.194 0.250 0.355
0.206 0.058 0.910
0.206 0.442 0.910
0.256 0.563 0.560
0.256 0.937 0.560
0.340 0.750 0.379
0.341 0.250 0.744
0.362 0.059 0.208
0.362 0.441 0.208
0.498 0.750 0.051
0.502 0.250 0.949
0.638 0.559 0.792
0.638 0.941 0.792
0.659 0.750 0.256
0.660 0.250 0.621
0.744 0.063 0.440
0.744 0.437 0.440
0.794 0.558 0.090
0.794 0.942 0.090
0.806 0.750 0.645
0.876 0.250 0.913
0.913 0.750 0.877
0.978 0.250 0.594
```

Calculated values
theoretical density: 3.557 g/cm3
symmetry: P2_1/m, No. 11
spin magnetization: 0.368 μB per atom
energy relative to the elements: -2.351 eV per atom



7.
The following is a GGA+U calculation of an optimized crystal structure of MoPO4, from the Materials Project.

The structure in POSCAR format:
```
MoPO4
1.0
9.305 -2.631 0.000
9.305 2.631 0.000
-8.542 0.000 14.340
Mo P O
8 8 32
direct
0.000 0.500 0.000
0.120 0.661 0.514
0.186 0.814 0.750
0.339 0.880 0.986
0.500 0.000 0.500
0.661 0.120 0.014
0.814 0.186 0.250
0.880 0.339 0.486
0.018 0.556 0.640
0.259 0.715 0.381
0.285 0.741 0.119
0.444 0.982 0.860
0.556 0.018 0.140
0.715 0.259 0.881
0.741 0.285 0.619
0.982 0.444 0.360
0.053 0.553 0.735
0.070 0.833 0.291
0.077 0.659 0.631
0.081 0.773 0.045
0.167 0.930 0.209
0.193 0.272 0.571
0.209 0.644 0.417
0.227 0.919 0.455
0.265 0.287 0.427
0.272 0.193 0.071
0.287 0.265 0.927
0.341 0.923 0.869
0.356 0.791 0.083
0.437 0.550 0.634
0.447 0.947 0.765
0.450 0.563 0.866
0.550 0.437 0.134
0.553 0.053 0.235
0.563 0.450 0.366
0.644 0.209 0.917
0.659 0.077 0.131
0.713 0.735 0.073
0.728 0.807 0.929
0.735 0.713 0.573
0.773 0.081 0.545
0.791 0.356 0.583
0.807 0.728 0.429
0.833 0.070 0.791
0.919 0.227 0.955
0.923 0.341 0.369
0.930 0.167 0.709
0.947 0.447 0.265
```

Calculated values
theoretical density: 3.612 g/cm3
symmetry: C2/c, No. 15
spin magnetization: 0.500 μB per atom
energy relative to the elements: -2.231 eV per atom



8.
The following is a GGA+U calculation of an optimized crystal structure of Mo2P3O13, from the Materials Project.

The structure in POSCAR format:
```
Mo2P3O13
1.0
6.467 0.000 0.000
0.000 22.687 0.000
-5.228 0.000 7.040
Mo P O
8 12 52
direct
0.047 0.061 0.274
0.047 0.439 0.774
0.241 0.706 0.955
0.241 0.794 0.455
0.759 0.206 0.545
0.759 0.294 0.045
0.953 0.561 0.226
0.953 0.939 0.726
0.027 0.584 0.644
0.027 0.916 0.144
0.142 0.203 0.413
0.142 0.297 0.913
0.481 0.098 0.206
0.481 0.402 0.706
0.519 0.598 0.294
0.519 0.902 0.794
0.858 0.703 0.087
0.858 0.797 0.587
0.973 0.084 0.856
0.973 0.416 0.356
0.001 0.239 0.804
0.001 0.261 0.304
0.018 0.026 0.790
0.018 0.474 0.290
0.052 0.153 0.270
0.052 0.347 0.770
0.072 0.192 0.553
0.072 0.308 0.053
0.127 0.577 0.527
0.127 0.923 0.027
0.176 0.628 0.810
0.176 0.872 0.310
0.219 0.056 0.514
0.219 0.444 0.014
0.257 0.115 0.992
0.257 0.385 0.492
0.306 0.727 0.561
0.306 0.773 0.061
0.312 0.567 0.293
0.312 0.933 0.793
0.377 0.058 0.286
0.377 0.442 0.786
0.430 0.659 0.192
0.430 0.841 0.692
0.437 0.211 0.532
0.437 0.289 0.032
0.563 0.711 0.968
0.563 0.789 0.468
0.570 0.159 0.308
0.570 0.341 0.808
0.623 0.558 0.214
0.623 0.942 0.714
0.688 0.067 0.207
0.688 0.433 0.707
0.694 0.227 0.939
0.694 0.273 0.439
0.743 0.615 0.508
0.743 0.885 0.008
0.781 0.556 0.986
0.781 0.944 0.486
0.824 0.128 0.690
0.824 0.372 0.190
0.873 0.077 0.973
0.873 0.423 0.473
0.928 0.692 0.947
0.928 0.808 0.447
0.948 0.653 0.230
0.948 0.847 0.730
0.982 0.526 0.710
0.982 0.974 0.210
0.999 0.739 0.696
0.999 0.761 0.196
```

Calculated values
theoretical density: 3.169 g/cm3
relative energy among the computed polymorphs: 0.009 eV/atom
symmetry: P2_1/c, No. 14
spin magnetization: 0.056 μB per atom
energy relative to the elements: -2.362 eV per atom



- theoretical density of number 7 (MoPO4)?
  3.612 g/cm3